No. 1
# PBE Na6Nb4Zn2Si6S3O36, relaxed
data_Na6Nb4Zn2Si6S3O36
_chemical_formula_sum 'Na12 Nb8 Zn4 Si12 S6 O72'
_cell_length_a 9.0024
_cell_length_b 9.0024
_cell_length_c 22.6599
_cell_angle_alpha 90.00
_cell_angle_beta 90.00
_cell_angle_gamma 120.00
_symmetry_space_group_name_H-M 'P 3 c 1'
_symmetry_Int_Tables_number 158
loop_
_symmetry_equiv_pos_as_xyz
'x,y,z'
'-y,x-y,z'
'-x+y,-x,z'
'-y,-x,z+1/2'
'-x+y,y,z+1/2'
'x,x-y,z+1/2'
loop_
_atom_site_label
_atom_site_type_symbol
_atom_site_fract_x
_atom_site_fract_y
_atom_site_fract_z
Na1 Na 0.0000 0.0000 0.0000
Na2 Na 0.0450 0.3453 0.0896
Na3 Na 0.3333 0.6667 0.1676
Na4 Na 0.6667 0.3333 0.3369
Nb1 Nb 0.0000 0.0000 0.1566
Nb2 Nb 0.3333 0.6667 0.3136
Nb3 Nb 0.6667 0.3333 0.1968
Nb4 Nb 0.6667 0.3333 0.4885
Zn1 Zn 0.0000 0.0000 0.3467
Zn2 Zn 0.3333 0.6667 0.0275
Si1 Si 0.2896 0.0055 0.2606
Si2 Si 0.3753 0.0432 0.5908
S1 S 0.0424 0.3754 0.9256
O1 O 0.0182 0.2033 0.9208
O2 O 0.0317 0.2015 0.1993
O3 O 0.1321 0.4869 0.8730
O4 O 0.1367 0.4565 0.9803
O5 O 0.1438 0.4983 0.5852
O6 O 0.1710 0.4800 0.2674
O7 O 0.1892 0.0352 0.5950
O8 O 0.2187 0.0410 0.3189
O9 O 0.4716 0.1734 0.5325
O10 O 0.4823 0.1627 0.2471
O11 O 0.4986 0.1328 0.9277
O12 O 0.5022 0.1404 0.6455
# Magnetization = 0.00 μB per cell
# Crystal system = trigonal
# DFT formation energy = -2.613 eV per atom
# Theoretical density = 3093 kg/m³
# Calculated volume = 13.95 A^3/atom

No. 2
# PBE Na6Nb8Zn4Si9S9O72, relaxed
data_Na6Nb8Zn4Si9S9O72
_chemical_formula_sum 'Na6 Nb8 Zn4 Si9 S9 O72'
_cell_length_a 8.871
_cell_length_b 8.878
_cell_length_c 22.934
_cell_angle_alpha 89.88
_cell_angle_beta 89.75
_cell_angle_gamma 60.03
_symmetry_space_group_name_H-M 'P 1'
_symmetry_Int_Tables_number 1
loop_
_symmetry_equiv_pos_as_xyz
'x,y,z'
loop_
_atom_site_label
_atom_site_type_symbol
_atom_site_fract_x
_atom_site_fract_y
_atom_site_fract_z
Na1 Na 0.000 0.000 0.000
Na2 Na 0.003 0.004 0.504
Na3 Na 0.325 0.334 0.829
Na4 Na 0.335 0.325 0.328
Na5 Na 0.666 0.669 0.674
Na6 Na 0.670 0.667 0.165
Nb1 Nb 0.007 0.991 0.656
Nb2 Nb 0.015 0.987 0.862
Nb3 Nb 0.327 0.334 0.977
Nb4 Nb 0.340 0.323 0.482
Nb5 Nb 0.659 0.670 0.316
Nb6 Nb 0.665 0.678 0.821
Nb7 Nb 0.985 0.010 0.150
Nb8 Nb 0.990 0.020 0.358
Zn1 Zn 0.319 0.336 0.696
Zn2 Zn 0.336 0.318 0.193
Zn3 Zn 0.656 0.662 0.518
Zn4 Zn 0.668 0.667 0.012
Si1 Si 0.002 0.702 0.757
Si2 Si 0.003 0.295 0.253
Si3 Si 0.298 0.999 0.757
Si4 Si 0.378 0.946 0.424
Si5 Si 0.387 0.666 0.924
Si6 Si 0.666 0.385 0.425
Si7 Si 0.673 0.951 0.925
Si8 Si 0.705 0.004 0.255
Si9 Si 0.943 0.380 0.923
S1 S 0.039 0.337 0.589
S2 S 0.045 0.620 0.091
S3 S 0.284 0.713 0.255
S4 S 0.334 0.620 0.590
S5 S 0.337 0.040 0.089
S6 S 0.615 0.340 0.090
S7 S 0.624 0.041 0.589
S8 S 0.711 0.288 0.755
S9 S 0.955 0.667 0.423
O1 O 0.014 0.814 0.810
O2 O 0.023 0.172 0.311
O3 O 0.025 0.174 0.592
O4 O 0.034 0.800 0.096
O5 O 0.124 0.355 0.640
O6 O 0.131 0.519 0.143
O7 O 0.134 0.506 0.429
O8 O 0.143 0.357 0.931
O9 O 0.153 0.310 0.535
O10 O 0.154 0.540 0.037
O11 O 0.167 0.800 0.593
O12 O 0.168 0.317 0.250
O13 O 0.169 0.023 0.810
O14 O 0.170 0.025 0.096
O15 O 0.178 0.524 0.750
O16 O 0.183 0.796 0.308
O17 O 0.184 0.974 0.411
O18 O 0.187 0.828 0.913
O19 O 0.192 0.973 0.698
O20 O 0.206 0.824 0.202
O21 O 0.304 0.151 0.037
O22 O 0.307 0.539 0.536
O23 O 0.308 0.540 0.249
O24 O 0.319 0.165 0.749
O25 O 0.350 0.149 0.432
O26 O 0.351 0.517 0.641
O27 O 0.354 0.123 0.142
O28 O 0.358 0.494 0.932
O29 O 0.448 0.707 0.983
O30 O 0.455 0.846 0.482
O31 O 0.461 0.702 0.260
O32 O 0.480 0.814 0.760
O33 O 0.483 0.647 0.584
O34 O 0.485 0.865 0.084
O35 O 0.490 0.361 0.432
O36 O 0.494 0.147 0.933
O37 O 0.500 0.864 0.365
O38 O 0.502 0.632 0.865
O39 O 0.518 0.127 0.640
O40 O 0.518 0.353 0.143
O41 O 0.524 0.175 0.251
O42 O 0.534 0.155 0.534
O43 O 0.542 0.304 0.746
O44 O 0.542 0.305 0.037
O45 O 0.631 0.870 0.866
O46 O 0.637 0.502 0.366
O47 O 0.649 0.483 0.085
O48 O 0.649 0.867 0.581
O49 O 0.697 0.823 0.264
O50 O 0.703 0.459 0.757
O51 O 0.712 0.845 0.983
O52 O 0.714 0.447 0.482
O53 O 0.794 0.183 0.807
O54 O 0.797 0.034 0.591
O55 O 0.801 0.168 0.095
O56 O 0.817 0.013 0.311
O57 O 0.820 0.479 0.263
O58 O 0.824 0.692 0.760
O59 O 0.826 0.183 0.413
O60 O 0.827 0.199 0.700
O61 O 0.829 0.989 0.910
O62 O 0.837 0.968 0.198
O63 O 0.844 0.446 0.983
O64 O 0.854 0.698 0.475
O65 O 0.863 0.503 0.864
O66 O 0.867 0.491 0.581
O67 O 0.869 0.648 0.086
O68 O 0.878 0.635 0.369
O69 O 0.968 0.835 0.697
O70 O 0.973 0.191 0.198
O71 O 0.980 0.185 0.910
O72 O 0.985 0.816 0.413
# Magnetization = 0.00 μB per cell
# Crystal system = triclinic
# DFT formation energy = -2.502 eV per atom
# Theoretical density = 3010 kg/m³
# Calculated volume = 14.49 A^3/atom

Question: theoretical density of number 1 (Na6Nb4Zn2Si6S3O36)?
Answer: 3093 kg/m³